Here is an optimized crystal structure of K3Cu2P4HO14 from the Materials Project. Energies are from PBE.

Values from the calculation:
Energy of formation from the pure elements   -2.32 eV per atom

a = 5.3230 Å, b = 5.6026 Å, c = 12.9055 Å
α = 90.51°, β = 100.16°, γ = 116.88°
Closest atoms and distances in Å follow each position.
Space group P-1 (No. 2)
Inequivalent atoms, fractional coordinates:
K 0.0000 0.0000 0.0000 x1  6 O 2.73-3.04, 2 H 2.86
K 0.2025 0.8486 0.5633 x2  9 O 2.78-3.06
Cu 0.0273 0.7729 0.2791 x2  4 O 1.97-2.01
P 0.4132 0.4702 0.3397 x2  4 O 1.52-1.63
P 0.4416 0.7088 0.1482 x2  4 O 1.53-1.63
H 0.5000 0.5000 0.0000 x1  2 O 1.21
O 0.2336 0.1125 0.8104 x2  1 P 1.54
O 0.2544 0.3756 0.6241 x2  1 P 1.55
O 0.2589 0.8448 0.1688 x2  1 P 1.53
O 0.2696 0.6375 0.3729 x2  1 P 1.55
O 0.2884 0.1884 0.3756 x2  1 P 1.52
O 0.3463 0.4391 0.2107 x2  2 P 1.63
O 0.3693 0.6062 0.0306 x2  1 H 1.21

Here is an optimized crystal structure of CoCu2SnSe4 from the Materials Project. Energies are from PBE.

Values from the calculation:
Energy of formation from the pure elements   -0.47 eV per atom

a = 5.7038 Å, b = 5.7038 Å, c = 11.2883 Å
α = 90.00°, β = 90.00°, γ = 90.00°
Closest atoms and distances in Å follow each position.
Space group I-42m (No. 121)
Inequivalent atoms, fractional coordinates:
Co 0.0000 0.0000 0.0000 x2  4 Se 2.37
Cu 0.0000 0.5000 0.2500 x4  4 Se 2.42
Sn 0.0000 0.0000 0.5000 x2  4 Se 2.65
Se 0.2286 0.2286 0.1324 x8  1 Co 2.37, 2 Cu 2.42, 1 Sn 2.65

Q: Which of these has the highest energy of formation from the pure elements?
A: CoCu2SnSe4